1.
The following is a PBE with a Hubbard U calculation of a geometry-optimized FeP3O12 structure, from the Materials Project.

As for the electronic total energy: -6.169 eV/atom. As for the symmetry: R-3c, No. 167. As for the crystal system: trigonal.

Lattice parameters (Å, degrees): 9.824 9.824 9.824 48.95 48.95 48.95
Atoms (fractional coordinates):
Fe: 0.000 0.000 0.000
Fe: 0.500 0.500 0.500
P: 0.104 0.750 0.396
P: 0.250 0.604 0.896
P: 0.396 0.104 0.750
P: 0.604 0.896 0.250
P: 0.750 0.396 0.104
P: 0.896 0.250 0.604
O: 0.016 0.591 0.554
O: 0.054 0.091 0.516
O: 0.091 0.516 0.054
O: 0.121 0.817 0.196
O: 0.183 0.804 0.879
O: 0.196 0.121 0.817
O: 0.304 0.683 0.379
O: 0.317 0.621 0.696
O: 0.379 0.304 0.683
O: 0.409 0.446 0.984
O: 0.446 0.984 0.409
O: 0.484 0.946 0.909
O: 0.516 0.054 0.091
O: 0.554 0.016 0.591
O: 0.591 0.554 0.016
O: 0.621 0.696 0.317
O: 0.683 0.379 0.304
O: 0.696 0.317 0.621
O: 0.804 0.879 0.183
O: 0.817 0.196 0.121
O: 0.879 0.183 0.804
O: 0.909 0.484 0.946
O: 0.946 0.909 0.484
O: 0.984 0.409 0.446



2.
The following is a PBE with a Hubbard U calculation of a geometry-optimized MnVO4 structure, from the Materials Project.

As for the electronic total energy: -7.501 eV/atom. As for the symmetry: C2/m, No. 12. As for the crystal system: monoclinic.

Lattice parameters (Å, degrees): 5.607 5.607 6.310 124.17 124.17 63.12
Atoms (fractional coordinates):
Mn: 0.000 0.500 0.000
Mn: 0.500 0.000 0.000
V: 0.213 0.213 0.463
V: 0.787 0.787 0.537
O: 0.165 0.694 0.680
O: 0.261 0.261 0.211
O: 0.261 0.261 0.811
O: 0.306 0.835 0.320
O: 0.694 0.165 0.680
O: 0.739 0.739 0.189
O: 0.739 0.739 0.789
O: 0.835 0.306 0.320